# 1
Material: V6SiC
Method: DFT, PBE
State: relaxed

Calculated values
Its total magnetization is 1.278 Bohr magnetons per cell. The formation energy from the elements comes out at -0.0423 eV per atom.

Lattice parameters (Å, degrees): 4.575 4.575 4.575 90.00 90.00 90.00
Sites, in units of the cell vectors:
V 0.000 0.243 0.500
V 0.000 0.757 0.500
V 0.243 0.500 0.000
V 0.500 0.000 0.243
V 0.500 0.000 0.757
V 0.757 0.500 0.000
Si 0.500 0.500 0.500
C 0.000 0.000 0.000

***

# 2
Material: Na9MgNb5Si9O36
Method: DFT, PBE
State: relaxed

Calculated values
Its total magnetization is 0.000 Bohr magnetons per cell. For the energy above the lowest structure with this stoichiometry, the calculation gives 3 meV per atom. The formation energy from the elements comes out at -2.9432 eV per atom.

Lattice parameters (Å, degrees): 9.096 22.502 24.024 90.01 100.88 90.01
Sites, in units of the cell vectors:
Na 0.000 0.000 0.000
Na 0.000 0.409 0.344
Na 0.010 0.500 0.001
Na 0.046 0.907 0.681
Na 0.050 0.753 0.330
Na 0.106 0.749 0.550
Na 0.111 0.170 0.226
Na 0.116 0.667 0.226
Na 0.127 0.242 0.884
Na 0.136 0.586 0.909
Na 0.167 0.407 0.563
Na 0.177 0.587 0.109
Na 0.208 0.406 0.761
Na 0.218 0.750 0.787
Na 0.218 0.831 0.446
Na 0.228 0.330 0.447
Na 0.239 0.252 0.130
Na 0.240 0.908 0.106
Na 0.289 0.253 0.331
Na 0.298 0.086 0.990
Na 0.338 0.993 0.668
Na 0.339 0.492 0.668
Na 0.354 0.909 0.345
Na 0.357 0.742 0.002
Na 0.406 0.907 0.563
Na 0.408 0.754 0.212
Na 0.439 0.081 0.237
Na 0.445 0.161 0.888
Na 0.453 0.661 0.888
Na 0.456 0.249 0.550
Na 0.472 0.410 0.223
Na 0.552 0.332 0.111
Na 0.552 0.744 0.458
Na 0.563 0.906 0.762
Na 0.567 0.830 0.111
Na 0.578 0.250 0.786
Na 0.645 0.406 0.680
Na 0.655 0.243 0.001
Na 0.667 0.498 0.339
Na 0.687 0.997 0.343
Na 0.694 0.748 0.670
Na 0.701 0.586 0.991
Na 0.760 0.909 0.223
Na 0.766 0.741 0.884
Na 0.782 0.086 0.908
Na 0.784 0.658 0.559
Na 0.789 0.161 0.555
Na 0.812 0.256 0.213
Na 0.877 0.409 0.106
Na 0.893 0.331 0.783
Na 0.900 0.831 0.783
Na 0.901 0.750 0.130
Na 0.940 0.088 0.108
Na 0.983 0.250 0.670
Mg 0.005 0.143 0.001
Mg 0.005 0.643 0.001
Mg 0.116 0.311 0.224
Mg 0.117 0.810 0.224
Mg 0.338 0.850 0.669
Mg 0.340 0.349 0.669
Nb 0.005 0.850 0.002
Nb 0.007 0.350 0.002
Nb 0.116 0.016 0.226
Nb 0.116 0.517 0.226
Nb 0.221 0.183 0.447
Nb 0.223 0.976 0.448
Nb 0.231 0.681 0.446
Nb 0.235 0.476 0.447
Nb 0.338 0.141 0.668
Nb 0.340 0.640 0.669
Nb 0.449 0.018 0.890
Nb 0.449 0.810 0.891
Nb 0.451 0.517 0.891
Nb 0.452 0.311 0.891
Nb 0.558 0.476 0.113
Nb 0.562 0.683 0.114
Nb 0.563 0.185 0.114
Nb 0.564 0.975 0.112
Nb 0.672 0.351 0.337
Nb 0.673 0.639 0.336
Nb 0.675 0.851 0.337
Nb 0.677 0.141 0.339
Nb 0.782 0.020 0.557
Nb 0.783 0.519 0.557
Nb 0.785 0.309 0.557
Nb 0.786 0.810 0.558
Nb 0.892 0.681 0.780
Nb 0.893 0.475 0.780
Nb 0.897 0.182 0.779
Nb 0.897 0.975 0.780
Si 0.022 0.909 0.322
Si 0.035 0.578 0.350
Si 0.052 0.748 0.669
Si 0.074 0.914 0.557
Si 0.091 0.079 0.877
Si 0.103 0.743 0.905
Si 0.131 0.579 0.544
Si 0.147 0.249 0.573
Si 0.159 0.414 0.892
Si 0.185 0.579 0.779
Si 0.196 0.743 0.099
Si 0.213 0.410 0.128
Si 0.243 0.249 0.765
Si 0.254 0.913 0.794
Si 0.270 0.079 0.113
Si 0.294 0.243 0.002
Si 0.309 0.410 0.321
Si 0.325 0.079 0.351
Si 0.352 0.914 0.988
Si 0.366 0.581 0.016
Si 0.383 0.745 0.335
Si 0.408 0.911 0.224
Si 0.422 0.080 0.543
Si 0.435 0.749 0.573
Si 0.464 0.579 0.211
Si 0.480 0.245 0.240
Si 0.494 0.413 0.557
Si 0.522 0.580 0.447
Si 0.532 0.749 0.765
Si 0.549 0.413 0.794
Si 0.574 0.246 0.433
Si 0.590 0.913 0.462
Si 0.603 0.079 0.779
Si 0.628 0.248 0.669
Si 0.646 0.414 0.988
Si 0.658 0.081 0.015
Si 0.686 0.914 0.654
Si 0.699 0.578 0.682
Si 0.718 0.743 0.002
Si 0.742 0.914 0.892
Si 0.757 0.079 0.211
Si 0.770 0.745 0.239
Si 0.796 0.579 0.877
Si 0.812 0.243 0.905
Si 0.826 0.410 0.224
Si 0.854 0.579 0.115
Si 0.868 0.745 0.432
Si 0.881 0.414 0.461
Si 0.914 0.243 0.099
Si 0.925 0.910 0.128
Si 0.936 0.079 0.447
Si 0.963 0.246 0.337
Si 0.977 0.413 0.654
Si 0.993 0.078 0.682
O 0.001 0.023 0.841
O 0.011 0.250 0.162
O 0.017 0.969 0.160
O 0.033 0.247 0.280
O 0.035 0.139 0.839
O 0.035 0.967 0.279
O 0.036 0.418 0.832
O 0.042 0.801 0.937
O 0.043 0.022 0.440
O 0.044 0.079 0.938
O 0.049 0.137 0.453
O 0.051 0.742 0.438
O 0.058 0.416 0.456
O 0.068 0.238 0.775
O 0.072 0.917 0.789
O 0.076 0.520 0.772
O 0.082 0.637 0.789
O 0.083 0.572 0.288
O 0.084 0.406 0.947
O 0.086 0.850 0.298
O 0.088 0.520 0.390
O 0.097 0.242 0.393
O 0.100 0.406 0.066
O 0.107 0.684 0.942
O 0.115 0.685 0.070
O 0.122 0.638 0.382
O 0.128 0.921 0.385
O 0.143 0.081 0.058
O 0.148 0.803 0.058
O 0.148 0.808 0.684
O 0.149 0.639 0.504
O 0.151 0.469 0.159
O 0.152 0.917 0.501
O 0.155 0.411 0.660
O 0.156 0.691 0.658
O 0.161 0.751 0.162
O 0.168 0.086 0.678
O 0.178 0.907 0.995
O 0.186 0.521 0.512
O 0.189 0.301 0.012
O 0.189 0.580 0.010
O 0.190 0.237 0.510
O 0.197 0.185 0.986
O 0.199 0.192 0.615
O 0.201 0.074 0.172
O 0.201 0.912 0.614
O 0.220 0.073 0.287
O 0.220 0.351 0.298
O 0.221 0.352 0.167
O 0.236 0.308 0.596
O 0.237 0.308 0.728
O 0.241 0.587 0.606
O 0.254 0.747 0.280
O 0.257 0.467 0.278
O 0.260 0.587 0.724
O 0.263 0.355 0.882
O 0.267 0.422 0.384
O 0.269 0.472 0.900
O 0.271 0.138 0.381
O 0.273 0.075 0.883
O 0.277 0.754 0.896
O 0.285 0.574 0.213
O 0.301 0.913 0.733
O 0.302 0.246 0.233
O 0.305 0.853 0.211
O 0.307 0.191 0.734
O 0.307 0.971 0.234
O 0.310 0.574 0.838
O 0.311 0.019 0.390
O 0.311 0.742 0.394
O 0.312 0.853 0.832
O 0.334 0.738 0.508
O 0.335 0.021 0.512
O 0.344 0.969 0.831
O 0.348 0.251 0.830
O 0.359 0.417 0.501
O 0.367 0.139 0.503
O 0.369 0.808 0.596
O 0.373 0.973 0.951
O 0.374 0.087 0.605
O 0.377 0.020 0.109
O 0.381 0.255 0.948
O 0.384 0.741 0.103
O 0.386 0.137 0.124
O 0.387 0.422 0.119
O 0.397 0.243 0.438
O 0.405 0.523 0.441
O 0.406 0.855 0.956
O 0.407 0.916 0.456
O 0.419 0.639 0.453
O 0.420 0.577 0.954
O 0.423 0.412 0.614
O 0.425 0.241 0.060
O 0.427 0.692 0.615
O 0.437 0.525 0.057
O 0.437 0.691 0.734
O 0.441 0.413 0.733
O 0.454 0.917 0.052
O 0.457 0.640 0.046
O 0.473 0.086 0.723
O 0.477 0.637 0.169
O 0.491 0.751 0.830
O 0.493 0.407 0.325
O 0.494 0.689 0.332
O 0.494 0.920 0.170
O 0.495 0.805 0.346
O 0.496 0.469 0.831
O 0.499 0.084 0.341
O 0.501 0.808 0.728
O 0.512 0.191 0.659
O 0.514 0.911 0.660
O 0.517 0.520 0.179
O 0.520 0.586 0.678
O 0.530 0.354 0.832
O 0.532 0.241 0.177
O 0.538 0.074 0.838
O 0.540 0.908 0.282
O 0.542 0.186 0.279
O 0.543 0.077 0.954
O 0.546 0.307 0.685
O 0.559 0.355 0.956
O 0.569 0.586 0.273
O 0.571 0.304 0.270
O 0.576 0.756 0.948
O 0.587 0.473 0.951
O 0.591 0.303 0.391
O 0.594 0.583 0.390
O 0.595 0.353 0.549
O 0.599 0.140 0.047
O 0.603 0.074 0.549
O 0.608 0.417 0.053
O 0.610 0.470 0.562
O 0.613 0.751 0.565
O 0.619 0.575 0.883
O 0.627 0.187 0.401
O 0.628 0.255 0.896
O 0.629 0.025 0.057
O 0.629 0.855 0.882
O 0.629 0.907 0.398
O 0.640 0.972 0.900
O 0.643 0.853 0.500
O 0.644 0.742 0.060
O 0.650 0.576 0.504
O 0.654 0.741 0.177
O 0.669 0.021 0.180
O 0.675 0.971 0.493
O 0.677 0.251 0.496
O 0.686 0.420 0.170
O 0.704 0.137 0.169
O 0.705 0.251 0.612
O 0.706 0.020 0.772
O 0.708 0.085 0.272
O 0.708 0.806 0.269
O 0.710 0.970 0.613
O 0.716 0.738 0.775
O 0.717 0.137 0.789
O 0.727 0.417 0.789
O 0.729 0.241 0.103
O 0.741 0.520 0.109
O 0.743 0.923 0.120
O 0.745 0.574 0.620
O 0.745 0.854 0.623
O 0.746 0.690 0.281
O 0.747 0.638 0.122
O 0.751 0.408 0.282
O 0.757 0.519 0.721
O 0.769 0.237 0.724
O 0.776 0.688 0.402
O 0.779 0.407 0.398
O 0.786 0.637 0.716
O 0.799 0.685 0.986
O 0.801 0.916 0.716
O 0.806 0.083 0.390
O 0.807 0.918 0.832
O 0.814 0.803 0.391
O 0.815 0.639 0.839
O 0.824 0.752 0.495
O 0.827 0.407 0.995
O 0.827 0.473 0.492
O 0.830 0.080 0.010
O 0.833 0.801 0.012
O 0.842 0.908 0.326
O 0.843 0.184 0.942
O 0.846 0.190 0.332
O 0.850 0.523 0.841
O 0.854 0.586 0.344
O 0.855 0.242 0.841
O 0.862 0.075 0.503
O 0.862 0.306 0.344
O 0.866 0.356 0.503
O 0.873 0.906 0.947
O 0.885 0.074 0.620
O 0.886 0.353 0.624
O 0.904 0.579 0.938
O 0.906 0.300 0.938
O 0.912 0.352 0.211
O 0.912 0.469 0.613
O 0.916 0.751 0.612
O 0.919 0.303 0.058
O 0.923 0.581 0.058
O 0.925 0.417 0.716
O 0.938 0.074 0.213
O 0.939 0.136 0.716
O 0.940 0.747 0.233
O 0.943 0.468 0.234
O 0.955 0.853 0.167
O 0.956 0.575 0.550
O 0.961 0.970 0.562
O 0.963 0.252 0.568
O 0.964 0.737 0.724
O 0.965 0.185 0.070
O 0.965 0.853 0.549
O 0.974 0.019 0.721
O 0.977 0.906 0.066
O 0.985 0.574 0.171
O 0.996 0.742 0.841

***

# 3
Material: Al3P
Method: DFT, PBE
State: relaxed

Calculated values
Its total magnetization is 0.000 Bohr magnetons per cell. The formation energy from the elements comes out at 0.1302 eV per atom.

Lattice parameters (Å, degrees): 5.615 5.615 4.762 90.00 90.00 120.00
Sites, in units of the cell vectors:
Al 0.169 0.338 0.250
Al 0.169 0.831 0.250
Al 0.338 0.169 0.750
Al 0.662 0.831 0.250
Al 0.831 0.169 0.750
Al 0.831 0.662 0.750
P 0.333 0.667 0.750
P 0.667 0.333 0.250